Here is Tm5Re2C7 after structural relaxation from the Materials Project. Energies are from meta-GGA r2SCAN.

Unit cell a=8.1795 b=8.1795 c=3.3616 alpha=90.00 beta=90.00 gamma=122.09
Last column: nearest neighbours and their distance in Å.
Element x y z (fractional)
Tm (0.0000, 0.0000, 0.0000)  6 C 2.44-2.61
Tm (0.1640, 0.4232, 0.5000)  5 C 2.33-2.52
Tm (0.4232, 0.1640, 0.5000)  5 C 2.33-2.52
Tm (0.5768, 0.8360, 0.5000)  5 C 2.33-2.52
Tm (0.8360, 0.5768, 0.5000)  5 C 2.33-2.52
Re (0.2154, 0.7846, 0.0000)  4 C 2.04-2.13
Re (0.7846, 0.2154, 0.0000)  4 C 2.04-2.13
C (0.0000, 0.5000, 0.0000)  2 Re 2.04
C (0.1239, 0.8761, 0.5000)  2 Re 2.13, 2 Tm 2.33
C (0.3295, 0.3295, 0.0000)  1 C 1.35
C (0.5000, 0.0000, 0.0000)  2 Re 2.04
C (0.5000, 0.5000, 0.0000)  2 C 1.35
C (0.6705, 0.6705, 0.0000)  1 C 1.35
C (0.8761, 0.1239, 0.5000)  2 Re 2.13, 2 Tm 2.33

Output
ΔE_f	-0.571	eV/atom
size of the total moment	0.0	μB/cell